Y5Pb4 | PBE-GGA | optimized geometry

Structure (POSCAR):
```
Y5Pb4
1.0
9.062 0.000 0.000
0.000 9.182 0.000
0.000 0.000 17.513
Y Pb
20 16
Cartesian
7.161 0.019 4.378
4.289 7.522 7.006
0.242 2.931 15.762
0.242 2.931 10.507
7.971 7.704 15.463
4.289 7.522 1.751
6.432 4.610 13.135
3.440 6.070 15.463
5.623 3.112 2.050
2.630 4.573 4.378
5.623 3.112 6.706
1.901 9.164 13.135
4.773 1.660 10.507
3.440 6.070 10.807
4.773 1.660 15.762
8.820 6.251 7.006
8.820 6.251 1.751
1.092 1.479 2.050
7.971 7.704 10.807
1.092 1.479 6.706
7.535 1.289 13.135
6.505 4.870 9.519
8.368 3.500 4.378
1.974 8.904 16.750
2.557 4.312 0.763
5.226 8.091 13.135
3.004 3.303 13.135
0.695 5.682 13.135
7.088 0.279 7.994
2.557 4.312 7.994
1.527 7.894 4.378
1.974 8.904 9.519
7.088 0.279 0.763
6.059 5.880 4.378
6.505 4.870 16.750
3.837 1.091 4.378
```

## Properties
- formation enthalpy at 0 K (eV/atom) = -0.174
- space-group type = Pnma